a.
Entry from the Materials Project database: a relaxed Mg14AlCO16 crystal (PBE).

POSCAR file:
```
Mg14AlCO16
1.0
-2.424 -7.732 -2.298
5.899 -3.471 5.457
-2.853 -0.019 3.072
Mg O C Al
14 16 1 1
direct
0.256 0.500 0.500 Mg
0.500 0.253 0.500 Mg
0.747 0.000 0.500 Mg
0.000 0.750 0.500 Mg
0.253 0.000 0.500 Mg
0.000 0.250 0.500 Mg
0.741 0.255 0.000 Mg
0.259 0.255 0.000 Mg
0.741 0.745 0.000 Mg
0.000 0.500 0.000 Mg
0.259 0.745 0.000 Mg
0.500 0.000 0.000 Mg
0.744 0.500 0.500 Mg
0.500 0.747 0.500 Mg
0.500 0.500 0.500 O
0.500 0.000 0.500 O
0.249 0.251 0.500 O
0.000 0.000 0.500 O
0.500 0.781 0.000 O
0.226 0.000 0.000 O
0.751 0.251 0.500 O
0.000 0.229 0.000 O
0.500 0.219 0.000 O
0.249 0.749 0.500 O
0.760 0.500 0.000 O
0.000 0.771 0.000 O
0.751 0.749 0.500 O
0.240 0.500 0.000 O
0.774 0.000 0.000 O
0.000 0.500 0.500 O
0.500 0.500 0.000 C
0.000 0.000 0.000 Al
```

- SG = No. 47
- crystal system = orthorhombic

***

b.
Entry from the Materials Project database: a relaxed Mg14AlCO16 crystal (PBE).

POSCAR file:
```
Mg14AlCO16
1.0
4.202 0.000 0.000
0.000 8.429 0.000
0.000 0.000 8.678
Mg O C Al
14 16 1 1
direct
0.500 0.250 0.000 Mg
0.000 0.245 0.746 Mg
0.000 0.755 0.254 Mg
0.500 0.000 0.745 Mg
0.500 0.500 0.748 Mg
0.500 0.000 0.255 Mg
0.500 0.750 0.000 Mg
0.000 0.500 0.000 Mg
0.500 0.246 0.500 Mg
0.500 0.754 0.500 Mg
0.000 0.755 0.746 Mg
0.500 0.500 0.252 Mg
0.000 0.500 0.500 Mg
0.000 0.245 0.254 Mg
0.000 0.241 0.000 O
0.500 0.249 0.251 O
0.500 0.751 0.749 O
0.000 0.000 0.792 O
0.500 0.751 0.251 O
0.000 0.000 0.208 O
0.500 0.000 0.000 O
0.000 0.500 0.753 O
0.000 0.500 0.247 O
0.500 0.500 0.000 O
0.000 0.745 0.500 O
0.500 0.500 0.500 O
0.500 0.000 0.500 O
0.500 0.249 0.749 O
0.000 0.759 0.000 O
0.000 0.255 0.500 O
0.000 0.000 0.500 C
0.000 0.000 0.000 Al
```

- SG = No. 47
- crystal system = orthorhombic

***

Which structure is most stable? b, by 29 meV/atom over the runner-up.